(1)
# BN | Materials Project | PBE | relaxed
# E (eV per cell): -795.4
# Energy of formation from the pure elements (meV/atom): -626
data_BN
_cell_length_a 10.125
_cell_length_b 10.889
_cell_length_c 11.338
_cell_angle_alpha 91.23
_cell_angle_beta 93.41
_cell_angle_gamma 92.56
_symmetry_space_group_name_H-M 'P 1'
_symmetry_Int_Tables_number 1
loop_
_symmetry_equiv_pos_as_xyz
'x,y,z'
loop_
_atom_site_label
_atom_site_fract_x
_atom_site_fract_y
_atom_site_fract_z
B1 0.000 0.000 0.000
B2 0.003 0.217 0.979
B3 0.019 0.736 0.202
B4 0.025 0.522 0.250
B5 0.030 0.800 0.536
B6 0.059 0.686 0.637
B7 0.064 0.005 0.841
B8 0.072 0.560 0.826
B9 0.110 0.811 0.991
B10 0.111 0.342 0.148
B11 0.118 0.011 0.594
B12 0.132 0.901 0.377
B13 0.172 0.152 0.708
B14 0.222 0.348 0.864
B15 0.244 0.187 0.487
B16 0.250 0.698 0.772
B17 0.252 0.453 0.221
B18 0.314 0.351 0.002
B19 0.321 0.157 0.888
B20 0.324 0.943 0.242
B21 0.357 0.896 0.074
B22 0.363 0.810 0.919
B23 0.373 0.148 0.113
B24 0.420 0.479 0.395
B25 0.425 0.226 0.338
B26 0.461 0.428 0.020
B27 0.473 0.744 0.175
B28 0.491 0.724 0.732
B29 0.491 0.994 0.899
B30 0.503 0.516 0.605
B31 0.554 0.302 0.248
B32 0.581 0.343 0.482
B33 0.597 0.829 0.051
B34 0.612 0.488 0.734
B35 0.621 0.432 0.186
B36 0.632 0.913 0.787
B37 0.644 0.334 0.696
B38 0.669 0.596 0.100
B39 0.694 0.141 0.850
B40 0.792 0.571 0.899
B41 0.799 0.251 0.880
B42 0.806 0.272 0.543
B43 0.818 0.576 0.300
B44 0.824 0.952 0.108
B45 0.896 0.150 0.401
B46 0.914 0.491 0.514
B47 0.928 0.643 0.016
B48 0.946 0.668 0.478
B49 0.973 0.138 0.180
B50 0.987 0.425 0.895
N1 0.015 0.587 0.563
N2 0.029 0.730 0.070
N3 0.030 0.237 0.107
N4 0.031 0.102 0.927
N5 0.037 0.898 0.921
N6 0.060 0.816 0.295
N7 0.090 0.913 0.506
N8 0.103 0.030 0.725
N9 0.105 0.429 0.255
N10 0.117 0.441 0.848
N11 0.123 0.661 0.757
N12 0.177 0.137 0.578
N13 0.233 0.233 0.803
N14 0.233 0.394 0.106
N15 0.245 0.957 0.337
N16 0.256 0.818 0.991
N17 0.314 0.231 0.405
N18 0.340 0.016 0.135
N19 0.344 0.212 0.006
N20 0.357 0.503 0.296
N21 0.371 0.746 0.805
N22 0.382 0.050 0.861
N23 0.385 0.826 0.198
N24 0.441 0.215 0.212
N25 0.466 0.104 0.616
N26 0.471 0.616 0.661
N27 0.480 0.881 0.982
N28 0.483 0.016 0.569
N29 0.497 0.450 0.496
N30 0.563 0.276 0.373
N31 0.574 0.707 0.109
N32 0.577 0.475 0.064
N33 0.602 0.803 0.743
N34 0.627 0.021 0.848
N35 0.640 0.932 0.367
N36 0.665 0.303 0.579
N37 0.686 0.260 0.797
N38 0.698 0.540 0.810
N39 0.701 0.879 0.430
N40 0.708 0.536 0.222
N41 0.713 0.898 0.078
N42 0.787 0.614 0.019
N43 0.844 0.154 0.506
N44 0.845 0.579 0.426
N45 0.889 0.376 0.546
N46 0.923 0.311 0.916
N47 0.941 0.150 0.295
N48 0.944 0.016 0.113
N49 0.944 0.615 0.238
N50 0.947 0.560 0.898

=====

(2)
# BN | Materials Project | PBE | relaxed
# E (eV per cell): -35.2
# Energy of formation from the pure elements (meV/atom): -1461
data_BN
_cell_length_a 2.5124
_cell_length_b 2.5124
_cell_length_c 7.7073
_cell_angle_alpha 90.00
_cell_angle_beta 90.00
_cell_angle_gamma 120.00
_symmetry_space_group_name_H-M 'P 63/m m c'
_symmetry_Int_Tables_number 194
_symmetry_space_group_name_Hall '-P 6c 2c'
loop_
_atom_site_label
_atom_site_fract_x
_atom_site_fract_y
_atom_site_fract_z
B1 0.3333 0.6667 0.2500
N1 0.3333 0.6667 0.7500

=====

(3)
# BN | Materials Project | PBE | relaxed
# E (eV per cell): -17.4
# Energy of formation from the pure elements (meV/atom): -1363
data_BN
_cell_length_a 2.508
_cell_length_b 2.508
_cell_length_c 3.274
_cell_angle_alpha 101.11
_cell_angle_beta 101.11
_cell_angle_gamma 119.81
_symmetry_space_group_name_H-M 'P 1'
_symmetry_Int_Tables_number 1
loop_
_symmetry_equiv_pos_as_xyz
'x,y,z'
loop_
_atom_site_label
_atom_site_fract_x
_atom_site_fract_y
_atom_site_fract_z
B1 0.000 0.000 0.000
N1 0.689 0.349 0.983

=====

> The highest E belongs to which entry?

number 3

=====

> Which value of energy of formation from the pure elements does entry 3 give?

-1363 meV/atom

=====

> Among the records above, which one has the lowest E?

number 1

=====

> The lowest E belongs to which entry?

number 1